Entry 1:
This record from the Materials Project describes an optimized crystal structure of CaNd2S4. The functional is PBE.

```
CaNd2S4
1.0
6.5292 3.3600 1.1416
-3.3967 -1.0046 6.5327
1.1141 -6.5775 -3.2739
S Ca Nd
8 2 4
Cartesian
4.0236 0.5745 2.4933
3.0204 -2.5947 0.0894
1.5667 -1.3713 5.1452
2.1026 -4.6694 3.5197
-0.1176 -5.0527 1.0729
0.7705 -1.1285 1.9249
1.5693 -4.5273 -2.1959
4.0508 1.8810 5.5520
-0.3582 -3.2022 3.5480
1.5662 1.1777 3.8372
5.8299 -3.0956 -0.2201
-0.8002 -0.5376 6.5390
0.0226 -2.6045 -0.4193
3.4408 -2.2064 2.9012
```

## Properties
Maximum piezoelectric response (C/m²): 0.349

***

Entry 2:
This record from the Materials Project describes an optimized crystal structure of CaNd8Se12. The functional is PBE.

```
CaNd8Se12
1.0
-3.7737 -3.8908 7.1300
-0.8959 -7.6113 -4.6348
9.7547 -9.7360 5.4651
Se Nd Ca
24 16 2
Cartesian
8.8112 -10.3938 5.4441
-0.2495 -12.7550 4.9961
6.5032 -15.6612 4.1542
3.9346 -5.5268 2.7085
4.8165 -8.5909 1.4934
5.0595 -18.1811 5.9639
6.0787 -12.7072 1.0748
3.5807 -9.3313 7.2236
1.8450 -13.3552 1.2752
-2.4408 -9.9443 2.5723
4.4297 -12.8414 8.5609
-1.0738 -2.4133 2.9021
-0.6676 -5.4231 5.9824
1.6518 -4.0162 0.6979
0.6180 -9.4903 5.5418
2.4469 -14.8257 5.2626
5.2884 -16.3693 9.8699
5.6440 -12.5863 5.3884
6.1174 -8.3518 5.1139
0.1362 -6.3156 -1.3661
0.7782 -7.7332 2.6085
-1.9486 -5.6499 2.3035
0.9934 -9.8364 -0.0626
3.3478 -11.0596 3.3230
8.4784 -13.5683 5.4861
6.3185 -10.5139 7.4431
0.6574 -8.7518 -3.0609
3.7509 -11.0595 0.1434
-1.5597 -7.9817 0.4507
0.4115 -10.9300 2.6847
6.5080 -10.6606 3.2359
2.6040 -11.9270 6.1008
2.5263 -7.0487 0.2746
8.0720 -15.1135 1.6427
3.2304 -8.2211 4.2688
-2.9282 -3.8621 4.7767
3.0083 -10.3536 9.9996
4.9208 -15.3221 6.9218
1.0386 -7.4582 7.7241
0.9020 -4.8506 3.4821
4.2216 -14.1381 2.9468
-1.7343 -7.8758 4.6234
```

***

Entry 3:
This record from the Materials Project describes an optimized crystal structure of CaNd2Te4. The functional is PBE.

```
CaNd2Te4
1.0
-4.7708 4.7708 4.8237
4.7708 -4.7708 4.8237
4.7708 4.7708 -4.8237
Nd Te Ca
4 8 2
Cartesian
-1.1987 2.3854 6.0296
2.3854 1.1987 3.6177
5.9696 2.3854 1.2059
2.3854 3.5721 -1.2059
0.7146 6.4659 -0.5137
4.0562 -1.6951 4.3099
1.6951 0.7146 6.7218
-0.7146 1.6951 2.9256
3.0757 0.7146 0.5137
1.6951 4.0562 5.3374
5.4854 3.0757 -1.8981
3.0757 4.0562 1.8981
0.0000 0.0000 0.0000
0.0000 4.7708 2.4118
```

***

Entry 4:
This record from the Materials Project describes an optimized crystal structure of CaNdZn2. The functional is PBE.

```
CaNdZn2
1.0
0.0000 3.6831 3.6831
3.6831 0.0000 3.6831
3.6831 3.6831 0.0000
Ca Nd Zn
1 1 2
Cartesian
3.6831 3.6831 3.6831
0.0000 0.0000 0.0000
5.5246 5.5246 5.5246
1.8415 1.8415 1.8415
```

***

Entry 5:
This record from the Materials Project describes an optimized crystal structure of CaNi. The functional is PBE.

```
CaNi
1.0
3.4264 0.0000 0.0000
0.0000 3.4264 0.0000
0.0000 0.0000 3.4264
Ni Ca
1 1
Cartesian
1.7132 1.7132 1.7132
0.0000 0.0000 0.0000
```

***

Entry 6:
This record from the Materials Project describes an optimized crystal structure of CaNi2. The functional is PBE.

```
CaNi2
1.0
0.0000 3.5878 3.5878
3.5878 0.0000 3.5878
3.5878 3.5878 0.0000
Ni Ca
4 2
Cartesian
0.8969 0.8969 0.8969
2.6908 0.8969 2.6908
0.8969 2.6908 2.6908
2.6908 2.6908 0.8969
5.3817 5.3817 5.3817
3.5878 3.5878 3.5878
```

***

Entry 7:
This record from the Materials Project describes an optimized crystal structure of Ca4Ni. The functional is PBE.

```
Ca4Ni
1.0
0.0000 5.6830 5.6830
5.6830 0.0000 5.6830
5.6830 5.6830 0.0000
Ca Ni
8 2
Cartesian
9.8931 9.8931 9.8931
7.1559 7.1559 9.8931
7.0516 7.0516 4.3144
7.1559 9.8931 7.1559
4.3144 7.0516 7.0516
9.8931 7.1559 7.1559
4.3144 4.3144 4.3144
7.0516 4.3144 7.0516
2.8415 2.8415 2.8415
0.0000 0.0000 0.0000
```

***

Entry 8:
This record from the Materials Project describes an optimized crystal structure of Ca2Ni7. The functional is PBE.

```
Ca2Ni7
1.0
2.5347 4.0081 1.5479
4.3139 1.2211 -2.1875
-3.6271 8.5205 -8.0848
Ni Ca
14 4
Cartesian
2.7575 6.8320 -2.1246
2.1569 0.6106 -1.0937
0.4640 6.9177 -6.5997
-0.3797 9.1575 -7.0133
3.6012 4.5922 -1.7110
1.4948 4.8354 -2.8957
1.7266 8.9144 -5.8286
1.6107 6.8749 -4.3622
3.6438 5.4437 -3.9854
1.9159 10.8859 -7.2095
1.3056 2.8638 -1.5148
3.4243 2.6146 -0.3198
-0.4223 8.3061 -4.7389
1.2674 2.0040 0.7740
-2.7157 7.4753 -6.8708
-1.0001 5.5079 -4.5858
4.2216 8.2418 -4.1385
5.9372 6.2744 -1.8535
```

***

Entry 9:
This record from the Materials Project describes an optimized crystal structure of Ca5Ni9P7. The functional is PBE.

```
Ca5Ni9P7
1.0
2.6251 -0.7883 -2.6938
6.8186 4.0353 5.4639
-1.9303 -9.3891 0.8665
Ca P Ni
5 7 9
Cartesian
0.3690 -8.2028 0.0186
2.2986 -5.3084 1.0520
3.9023 -0.4395 3.9314
4.8368 -5.6439 3.6237
1.6899 -2.0786 -0.4863
2.6422 -3.9742 3.7379
5.9190 1.1752 2.6828
3.6609 -1.3524 1.2219
0.0000 0.0000 0.0000
-0.1749 -3.5868 0.8792
0.4907 -7.1817 2.5798
6.0648 -2.3236 3.8487
2.0723 -6.6142 3.9550
-0.8655 -5.6442 0.8083
4.3142 -3.1841 5.1359
6.9725 -0.3045 4.1425
4.2916 0.8904 1.1802
5.5764 1.8954 4.8796
1.7512 -2.4844 2.4336
1.8163 -0.0297 1.7787
4.3805 -3.0868 2.4307
```

***

Entry 10:
This record from the Materials Project describes an optimized crystal structure of CaNi2P2. The functional is PBE.

```
CaNi2P2
1.0
1.9602 -4.6893 -1.9532
-1.4871 -4.6708 2.3705
-2.3939 4.4944 -1.9280
Ni P Ca
2 2 1
Cartesian
-0.0986 -2.4375 -1.8363
-1.8223 -2.4282 0.3256
0.2949 -5.8355 0.2602
0.1781 -3.5246 0.1571
0.0000 0.0000 0.0000
```

***

Entry 11:
This record from the Materials Project describes an optimized crystal structure of Ca2Ni7P4. The functional is PBE.

```
Ca2Ni7P4
1.0
3.6898 0.0000 0.0000
0.0000 9.1942 0.0000
0.0000 0.0000 10.3558
Ca P Ni
4 8 14
Cartesian
0.0000 4.0239 1.8497
1.8449 8.6370 9.2643
0.0000 0.5572 4.0864
1.8449 5.1704 7.0276
1.8449 7.5329 4.0557
0.0000 7.4694 7.3725
1.8449 4.7935 9.9322
1.8449 1.4389 6.0402
0.0000 4.4008 4.7543
1.8449 1.7248 2.1946
0.0000 1.6614 9.2336
0.0000 7.7554 0.8623
1.8449 5.3760 3.8650
1.8449 2.3155 8.0081
0.0000 6.8787 2.8301
0.0000 2.8017 6.2178
0.0000 6.2884 9.4609
0.0000 6.6987 5.2651
1.8449 2.9058 4.2830
1.8449 8.3175 6.1688
0.0000 0.8767 0.9909
0.0000 0.5461 7.2530
1.8449 6.3925 1.0399
1.8449 2.4955 0.0872
0.0000 3.8182 9.0429
1.8449 8.6482 2.0751
```

***

Entry 12:
This record from the Materials Project describes an optimized crystal structure of CaNi4S8. The functional is PBE.

```
CaNi4S8
1.0
-0.6347 -6.2108 -2.9795
-0.0424 -5.6808 3.9472
-5.8788 -3.5627 0.7752
S Ca Ni
8 1 4
Cartesian
-1.7932 -6.6245 2.1675
-4.7627 -8.8297 -0.4246
-1.7390 -4.0992 0.4623
-4.3004 -5.7146 0.8049
-2.0476 -6.8522 -0.8081
-4.5083 -8.6021 2.5510
-2.2555 -9.7397 0.9380
-4.8170 -11.3550 1.2806
0.0000 0.0000 0.0000
-3.2568 -4.8867 -1.1022
-3.2780 -7.7271 0.8715
-2.9606 -4.6217 2.3612
-0.3386 -5.9458 0.4839
```

## Properties
Relative energy among the computed polymorphs (meV/atom): 55

***

Entry 13:
This record from the Materials Project describes an optimized crystal structure of CaNi2S4. The functional is PBE.

```
CaNi2S4
1.0
7.0388 0.0000 0.0000
-3.3719 -6.2337 0.0000
-3.4864 1.7617 -6.0064
S Ca Ni
8 2 4
Cartesian
0.1259 -4.6152 -1.6470
-1.8497 -3.3805 -4.5409
-4.9366 -3.4712 -4.3645
2.0302 -1.0916 -1.4654
3.5110 -0.1812 -4.0878
-3.3305 -4.2909 -1.9186
0.0546 0.1432 -4.3594
5.1171 -1.0008 -1.6419
0.0000 0.0000 0.0000
0.0903 -2.2360 -3.0032
-3.4291 -2.2360 -3.0032
-1.7432 0.8809 -3.0032
1.7762 0.8809 -3.0032
3.5194 0.0000 0.0000
```

## Properties
Relative energy among the computed polymorphs (meV/atom): 0

***

Entry 14:
This record from the Materials Project describes an optimized crystal structure of CaNi2S5. The functional is PBE.

```
CaNi2S5
1.0
-0.2171 -0.6296 3.8702
-2.0334 -6.4249 -1.1592
12.5003 -3.9663 0.0559
S Ni Ca
10 4 2
Cartesian
3.7428 -1.8629 -0.0931
0.2694 -2.6207 -0.4112
5.9529 -2.8942 1.8555
8.2394 -9.3583 0.9322
-1.8447 -5.8286 -1.0516
5.8359 -6.7358 1.2240
10.7727 -5.9534 -0.3642
8.3691 -3.3308 -0.0724
3.8389 -6.1021 1.2151
0.3655 -6.8600 0.8970
10.5287 -3.7301 -0.0163
6.0798 -8.9591 0.8760
2.3606 -7.7790 0.8594
1.7476 -0.9438 -0.0555
-1.3705 -4.3021 1.2157
5.4787 -4.4207 -0.4118
```

***

Entry 15:
This record from the Materials Project describes an optimized crystal structure of CaNi4S8. The functional is PBE.

```
CaNi4S8
1.0
-4.5984 -5.9418 -0.4071
1.2215 -6.4084 -3.7492
1.1563 -6.8180 2.9655
S Ni Ca
8 4 1
Cartesian
0.5698 -11.8154 -0.7151
-1.6178 -13.9645 -0.8675
-0.6028 -5.2036 -0.3232
0.0951 -7.5841 -2.1325
0.0627 -7.7871 1.1965
-2.7904 -7.3527 -0.4756
-2.3157 -11.5841 0.9418
-2.2834 -11.3810 -2.3872
1.1889 -6.6132 -0.3918
0.0000 0.0000 0.0000
-1.6885 -6.1751 -2.0781
-1.7211 -6.3799 1.2792
-1.1103 -9.5841 -0.5954
```

## Properties
Relative energy among the computed polymorphs (meV/atom): 0

***

Entry 16:
This record from the Materials Project describes an optimized crystal structure of CaNi2S4. The functional is PBE.

```
CaNi2S4
1.0
-3.4911 3.4911 5.4365
3.4911 -3.4911 5.4365
3.4911 3.4911 -5.4365
S Ni Ca
8 4 2
Cartesian
1.4610 3.4911 1.6367
3.4911 -2.0301 4.3549
2.0301 0.0000 7.0732
1.4610 0.0000 1.0815
3.4911 1.4610 -1.6367
0.0000 2.0301 3.7998
5.5212 0.0000 1.0815
3.4911 2.0301 4.3549
0.0000 5.2366 1.3591
1.7455 3.4911 4.0774
0.0000 1.7455 1.3591
-1.7455 3.4911 4.0774
3.4911 0.0000 2.7182
0.0000 0.0000 5.4365
```

## Properties
Relative energy among the computed polymorphs (meV/atom): 91

***

Entry 17:
This record from the Materials Project describes an optimized crystal structure of CaSiNi2. The functional is PBE.

```
CaSiNi2
1.0
1.9917 -3.4497 0.0000
1.9917 3.4497 0.0000
0.0000 0.0000 9.8875
Ca Si Ni
2 2 4
Cartesian
1.9917 1.1499 2.4719
1.9917 -1.1499 7.4156
0.0000 0.0000 0.0000
0.0000 0.0000 4.9438
1.9917 -1.1499 4.5317
1.9917 1.1499 5.3559
1.9917 1.1499 9.4754
1.9917 -1.1499 0.4121
```

***

Entry 18:
This record from the Materials Project describes an optimized crystal structure of CaNi4Sn2. The functional is PBE.

```
CaNi4Sn2
1.0
1.4791 -4.4109 4.8519
4.3481 5.1069 0.4456
-6.2963 2.2371 0.7326
Sn Ca Ni
4 2 8
Cartesian
-2.0464 4.4914 1.6609
-1.9539 0.4216 2.0939
1.4848 2.5115 3.9362
1.5773 -1.5584 4.3691
4.3704 0.5220 3.9731
1.4568 0.1740 1.3244
-0.5023 -1.6936 2.7230
0.3884 5.1153 0.8487
0.0332 4.6266 3.3071
-2.3908 -0.2504 4.6107
1.9217 3.1835 1.4194
-0.4125 2.4585 2.0787
-0.0566 0.4745 3.9514
-0.8575 -2.1822 5.1814
```

***

Entry 19:
This record from the Materials Project describes an optimized crystal structure of CaZn3Ni2. The functional is PBE.

```
CaZn3Ni2
1.0
4.5121 -7.8152 0.0000
4.5121 7.8152 0.0000
0.0000 0.0000 4.0877
Ni Zn Ca
6 9 3
Cartesian
6.5595 1.4230 2.0439
2.4647 -1.4230 2.0439
2.4647 1.4230 2.0439
6.5595 -1.4230 2.0439
4.5121 -4.9692 2.0439
4.5121 4.9692 2.0439
1.3197 2.2859 0.0000
4.5121 0.0000 2.0439
2.6395 0.0000 0.0000
3.1923 5.5293 0.0000
1.3197 -2.2859 0.0000
2.2560 3.9076 2.0439
2.2560 -3.9076 2.0439
6.3847 0.0000 0.0000
3.1923 -5.5293 0.0000
4.5121 -2.6051 0.0000
0.0000 0.0000 2.0439
4.5121 2.6051 0.0000
```

***

Results for mass density: 4.8; 6.6; 6.3; 5.2; 4.1; 5.7; 2.0; 6.3; 5.1; 5.1; 5.8; 3.7; 3.6; 3.0; 3.5; 3.6; 4.5; 7.3; 6.1 (in g cm⁻³, following the order of the records).
Results for total DFT energy (no corrections): -6.0851; -5.7807; -4.9316; -2.6312; -3.8691; -4.7111; -2.5432; -5.0900; -5.5132; -5.7299; -5.8328; -4.8853; -4.9211; -4.8792; -4.9404; -4.8297; -5.2924; -5.0809; -3.2068 (in eV per atom, following the order of the records).
Results for formation energy: -2.360; -2.141; -1.728; -0.308; 0.024; -0.189; 0.217; -0.149; -0.754; -0.851; -0.746; -0.717; -0.907; -0.913; -0.772; -0.815; -0.545; -0.346; -0.316 (in eV/atom, following the order of the records).